# 1
The following is a DFT calculation (r²SCAN) of an optimized crystal structure of Na3Sm7Cl24.

```
34
Lattice="7.537 0.000 0.000 3.769 6.529 0.000 0.001 0.000 16.592" Properties=species:S:1:pos:R:3 pbc="T T T"
Na 0.000 0.000 0.000
Na 3.768 6.526 5.815
Na 3.772 2.171 2.890
Sm 3.773 2.171 7.030
Sm 3.773 2.171 15.370
Sm 3.776 2.167 11.202
Sm 7.541 4.349 0.912
Sm 7.541 4.348 4.897
Sm 7.543 4.346 9.153
Sm 7.543 4.346 13.249
Cl 2.921 3.988 0.722
Cl 2.921 3.987 5.086
Cl 2.954 3.949 9.144
Cl 2.955 3.950 13.260
Cl 2.643 0.569 9.143
Cl 2.642 0.569 13.260
Cl 2.626 0.525 0.722
Cl 2.626 0.525 5.086
Cl 5.578 4.558 7.103
Cl 5.578 4.558 15.299
Cl 5.612 4.618 2.904
Cl 5.588 4.547 11.202
Cl 5.726 1.989 9.142
Cl 5.727 1.989 13.261
Cl 5.769 2.003 0.724
Cl 5.770 2.002 5.085
Cl 8.697 5.938 11.202
Cl 8.707 5.943 7.102
Cl 8.708 5.944 15.300
Cl 8.740 5.885 2.904
Cl 8.273 2.542 2.903
Cl 8.342 2.540 7.101
Cl 8.342 2.540 15.300
Cl 8.346 2.551 11.202
```

E_tot in eV/cell: -450.17
ΔE_f in kJ/mol of atoms: -237.49

---

# 2
The following is a DFT calculation (r²SCAN) of an optimized crystal structure of LaNd3.

```
4
Lattice="5.238 0.000 0.000 0.000 5.238 0.000 0.000 0.000 5.238" Properties=species:S:1:pos:R:3 pbc="T T T"
La 0.000 0.000 0.000
Nd 0.000 2.619 2.619
Nd 2.619 0.000 2.619
Nd 2.619 2.619 0.000
```

E_tot in eV/cell: -117.90
E above lowest polymorph in eV per atom: 0.0010
ΔE_f in kJ/mol of atoms: 2.28

---

# 3
The following is a DFT calculation (r²SCAN) of an optimized crystal structure of Dy2CdCu2.

```
10
Lattice="7.447 0.000 0.000 0.000 7.447 0.000 0.000 0.000 3.723" Properties=species:S:1:pos:R:3 pbc="T T T"
Dy 1.302 2.422 0.000
Dy 2.422 6.145 0.000
Dy 5.025 1.302 0.000
Dy 6.145 5.025 0.000
Cd 0.000 0.000 1.861
Cd 3.724 3.724 1.861
Cu 0.894 4.618 1.861
Cu 2.829 0.894 1.861
Cu 4.618 6.553 1.861
Cu 6.553 2.829 1.861
```

E_tot in eV/cell: -214.82
ΔE_f in kJ/mol of atoms: -31.83

---

# 4
The following is a DFT calculation (r²SCAN) of an optimized crystal structure of TbRu2.

```
12
Lattice="5.230 0.000 0.000 -2.615 4.529 0.000 0.000 0.000 8.952" Properties=species:S:1:pos:R:3 pbc="T T T"
Tb 0.000 3.019 0.603
Tb 0.000 3.019 3.873
Tb 2.615 1.510 5.079
Tb 2.615 1.510 8.349
Ru 0.000 0.000 0.000
Ru 0.000 0.000 4.476
Ru 0.000 1.541 6.714
Ru -1.280 3.759 6.714
Ru 1.335 0.771 2.238
Ru 1.280 3.759 6.714
Ru 3.895 0.771 2.238
Ru 2.615 2.988 2.238
```

E_tot in eV/cell: -332.31
ΔE_f in kJ/mol of atoms: -32.23

---

# 5
The following is a DFT calculation (r²SCAN) of an optimized crystal structure of Y3Mg.

```
4
Lattice="3.577 0.000 0.000 0.000 5.691 0.000 0.000 0.000 6.116" Properties=species:S:1:pos:R:3 pbc="T T T"
Y 0.000 0.000 0.000
Y 0.000 2.845 2.156
Y 1.789 0.000 3.150
Mg 1.789 2.845 5.142
```

E_tot in eV/cell: -64.89
ΔE_f in kJ/mol of atoms: 5.24

---

# 6
The following is a DFT calculation (r²SCAN) of an optimized crystal structure of Na2PtO3.

```
24
Lattice="2.718 -4.709 0.000 2.718 4.709 0.000 -1.834 0.000 10.455" Properties=species:S:1:pos:R:3 pbc="T T T"
Na 0.442 2.354 5.227
Na 1.342 3.912 7.841
Na 1.296 0.754 0.000
Na 0.380 -0.754 5.228
Na 1.359 -2.354 0.000
Na 3.222 0.754 5.227
Na 2.305 -0.754 10.454
Na 2.259 -3.912 2.614
Pt 2.259 2.355 2.614
Pt 1.342 0.781 7.841
Pt 2.259 -0.781 2.614
Pt 1.342 -2.355 7.841
O -0.399 0.901 6.742
O 0.363 2.224 8.944
O 0.518 -0.901 1.515
O 1.500 0.788 3.715
O 2.322 2.224 6.739
O 0.583 -0.788 8.942
O 3.019 0.788 1.513
O 1.280 -2.224 3.716
O 2.102 -0.788 6.740
O 3.084 0.901 8.940
O 3.238 -2.224 1.511
O 4.001 -0.901 3.713
```

E_tot in eV/cell: -338.58
ΔE_f in kJ/mol of atoms: -130.43

---

# 7
The following is a DFT calculation (r²SCAN) of an optimized crystal structure of V5Ge3B.

```
18
Lattice="7.306 0.000 0.000 -3.653 6.327 0.000 0.000 0.000 4.910" Properties=species:S:1:pos:R:3 pbc="T T T"
V -0.890 1.542 1.227
V -2.763 4.785 3.682
V 1.781 0.000 1.227
V 0.890 1.542 3.682
V 0.000 4.218 0.000
V 0.000 4.218 2.455
V 3.653 2.109 0.000
V 3.653 2.109 2.455
V 5.526 0.000 3.682
V 2.763 4.785 1.227
Ge -1.460 2.528 3.682
Ge -2.194 3.799 1.227
Ge 2.919 0.000 3.682
Ge 1.460 2.528 1.227
Ge 4.387 0.000 1.227
Ge 2.194 3.799 3.682
B 0.000 0.000 0.000
B 0.000 0.000 2.455
```

E_tot in eV/cell: -247.72
ΔE_f in kJ/mol of atoms: -47.72

---

# 8
The following is a DFT calculation (r²SCAN) of an optimized crystal structure of As.

```
8
Lattice="3.652 0.000 0.000 0.000 11.387 0.000 0.000 0.000 4.740" Properties=species:S:1:pos:R:3 pbc="T T T"
As 0.000 1.191 0.349
As 0.000 4.503 2.719
As 0.000 6.884 2.021
As 0.000 10.196 4.391
As 1.826 1.191 2.021
As 1.826 4.503 4.391
As 1.826 6.884 0.349
As 1.826 10.196 2.719
```

E_tot in eV/cell: -117.66
E above lowest polymorph in eV per atom: 0.0000
ΔE_f in kJ/mol of atoms: 0.00